No. 1
The following is a DFT calculation (PBE-GGA) of a geometry-optimized Li3Cu2O4 structure.

Results
Energy relative to the lowest polymorph listed for this composition ... 20 meV/atom

a = 5.2782 Å, b = 5.2782 Å, c = 4.7027 Å
α = 82.94°, β = 82.94°, γ = 127.36°
With the nearest neighbours (Å) after each atom.
Element x y z (fractional)
O: 0.1204 0.3552 0.2653  2 Cu 1.86-1.94, 3 Li 2.01-2.04
Cu: 0.7448 0.2552 0.5000  4 O 1.86-1.87
Li: 0.0414 0.9586 0.5000  4 O 1.88-2.01
Li: 0.9655 0.0345 0.0000  4 O 2.00-2.04
Cu: 0.2514 0.7486 0.0000  4 O 1.94
O: 0.6448 0.8796 0.7347  2 Cu 1.86-1.94, 3 Li 2.01-2.04
Li: 0.4630 0.5370 0.5000  4 O 1.99-2.01
O: 0.8750 0.6494 0.2691  2 Cu 1.87-1.94, 3 Li 1.88-2.00
O: 0.3506 0.1250 0.7309  2 Cu 1.87-1.94, 3 Li 1.88-2.00

No. 2
The following is a DFT calculation (PBE-GGA) of a geometry-optimized SrEu3 structure.

a = 5.7479 Å, b = 5.7479 Å, c = 5.7479 Å
α = 90.00°, β = 90.00°, γ = 90.00°
With the nearest neighbours (Å) after each atom.
Element x y z (fractional)
Eu: 0.5000 0.0000 0.5000  8 Eu 4.06, 4 Sr 4.06
Eu: 0.5000 0.5000 0.0000  4 Sr 4.06, 8 Eu 4.06
Sr: 0.0000 0.0000 0.0000  12 Eu 4.06
Eu: 0.0000 0.5000 0.5000  4 Sr 4.06, 8 Eu 4.06

No. 3
The following is a DFT calculation (PBE-GGA) of a geometry-optimized Cs2KLaF6 structure.

a = 6.9774 Å, b = 6.9774 Å, c = 6.9774 Å
α = 60.00°, β = 60.00°, γ = 60.00°
With the nearest neighbours (Å) after each atom.
Element x y z (fractional)
F: 0.2362 0.7638 0.2362  1 La 2.33, 1 K 2.60
F: 0.7638 0.7638 0.2362  1 La 2.33, 1 K 2.60
K: 0.5000 0.5000 0.5000  6 F 2.60
Cs: 0.2500 0.2500 0.2500  12 F 3.49
F: 0.2362 0.2362 0.7638  1 La 2.33, 1 K 2.60
La: 0.0000 0.0000 0.0000  6 F 2.33
F: 0.7638 0.2362 0.2362  1 La 2.33, 1 K 2.60
Cs: 0.7500 0.7500 0.7500  12 F 3.49
F: 0.2362 0.7638 0.7638  1 La 2.33, 1 K 2.60
F: 0.7638 0.2362 0.7638  1 La 2.33, 1 K 2.60

Number 1: V 100 Å³ per cell, energy relative to the elements -151.0 kJ per mole of atoms. Number 2: V 190 Å³ per cell, energy relative to the elements 3.7 kJ per mole of atoms. Number 3: V 240 Å³ per cell, energy relative to the elements -343.2 kJ per mole of atoms.